(1)
A plane-wave DFT calculation with PBE was carried out for crystalline Na5Ti2Si3Ge2P3O24 at its relaxed geometry.

a b c (Å): 8.694 8.697 21.943
angles (deg): 90.06 90.14 119.98
Space group P1 (No. 1)
Symmetry-distinct sites (fractional):
1 Na 0.000 0.000 0.000 x1
2 Na 0.000 0.363 0.750 x1
3 Na 0.005 0.370 0.251 x1
4 Na 0.033 0.065 0.332 x1
5 Na 0.035 0.700 0.834 x1
6 Na 0.334 0.029 0.416 x1
7 Na 0.337 0.668 0.666 x1
8 Na 0.338 0.036 0.918 x1
9 Na 0.633 0.998 0.499 x1
10 Na 0.655 0.686 0.082 x1
11 Na 0.665 0.063 0.833 x1
12 Na 0.667 0.685 0.582 x1
13 Na 0.703 0.036 0.168 x1
14 Na 0.965 0.666 0.166 x1
15 Na 0.968 0.034 0.667 x1
16 Ti 0.003 0.369 0.601 x1
17 Ti 0.012 0.371 0.898 x1
18 Ti 0.334 0.040 0.770 x1
19 Ti 0.335 0.032 0.562 x1
20 Ti 0.660 0.699 0.730 x1
21 Ti 0.999 0.366 0.104 x1
22 Si 0.001 0.659 0.000 x1
23 Si 0.053 0.035 0.169 x1
24 Si 0.288 0.649 0.496 x1
25 Si 0.339 0.323 0.665 x1
26 Si 0.380 0.695 0.836 x1
27 Si 0.612 0.320 0.167 x1
28 Si 0.626 0.039 0.667 x1
29 Si 0.662 0.987 0.333 x1
30 Si 0.957 0.989 0.835 x1
31 Ge 0.333 0.031 0.065 x1
32 Ge 0.346 0.038 0.269 x1
33 Ge 0.659 0.695 0.435 x1
34 Ge 0.669 0.697 0.936 x1
35 Ge 0.669 0.698 0.231 x1
36 Ge 0.997 0.369 0.396 x1
37 P 0.002 0.075 0.497 x1
38 P 0.043 0.742 0.666 x1
39 P 0.298 0.371 0.001 x1
40 P 0.336 0.747 0.168 x1
41 P 0.383 0.415 0.333 x1
42 P 0.664 0.413 0.835 x1
43 P 0.702 0.073 0.000 x1
44 P 0.715 0.373 0.497 x1
45 P 0.953 0.695 0.334 x1
46 O 0.022 0.204 0.160 x1
47 O 0.029 0.559 0.660 x1
48 O 0.031 0.191 0.440 x1
49 O 0.032 0.567 0.940 x1
50 O 0.130 0.863 0.611 x1
51 O 0.130 0.987 0.107 x1
52 O 0.138 0.866 0.328 x1
53 O 0.148 0.002 0.828 x1
54 O 0.158 0.557 0.439 x1
55 O 0.160 0.821 0.724 x1
56 O 0.162 0.342 0.659 x1
57 O 0.165 0.056 0.504 x1
58 O 0.170 0.563 0.160 x1
59 O 0.171 0.064 0.230 x1
60 O 0.173 0.331 0.944 x1
61 O 0.178 0.858 0.007 x1
62 O 0.181 0.524 0.840 x1
63 O 0.192 0.389 0.339 x1
64 O 0.201 0.533 0.559 x1
65 O 0.205 0.396 0.056 x1
66 O 0.293 0.826 0.224 x1
67 O 0.294 0.192 0.724 x1
68 O 0.307 0.197 0.006 x1
69 O 0.315 0.848 0.504 x1
70 O 0.356 0.223 0.327 x1
71 O 0.359 0.870 0.829 x1
72 O 0.363 0.223 0.607 x1
73 O 0.377 0.866 0.111 x1
74 O 0.464 0.663 0.773 x1
75 O 0.465 0.531 0.276 x1
76 O 0.480 0.537 0.993 x1
77 O 0.484 0.004 0.326 x1
78 O 0.490 0.675 0.492 x1
79 O 0.494 0.229 0.106 x1
80 O 0.498 0.994 0.607 x1
81 O 0.499 0.494 0.390 x1
82 O 0.502 0.226 0.829 x1
83 O 0.505 0.731 0.175 x1
84 O 0.510 0.518 0.672 x1
85 O 0.513 0.738 0.893 x1
86 O 0.519 0.056 0.007 x1
87 O 0.532 0.204 0.504 x1
88 O 0.533 0.063 0.727 x1
89 O 0.537 0.189 0.225 x1
90 O 0.632 0.494 0.892 x1
91 O 0.634 0.867 0.394 x1
92 O 0.644 0.521 0.175 x1
93 O 0.646 0.862 0.672 x1
94 O 0.693 0.889 0.995 x1
95 O 0.700 0.541 0.490 x1
96 O 0.703 0.531 0.778 x1
97 O 0.708 0.902 0.273 x1
98 O 0.790 0.186 0.943 x1
99 O 0.794 0.326 0.442 x1
100 O 0.813 0.343 0.159 x1
101 O 0.823 0.208 0.659 x1
102 O 0.824 0.681 0.993 x1
103 O 0.826 0.157 0.056 x1
104 O 0.830 0.391 0.840 x1
105 O 0.830 0.400 0.554 x1
106 O 0.830 0.889 0.492 x1
107 O 0.833 0.900 0.774 x1
108 O 0.841 0.662 0.275 x1
109 O 0.847 0.184 0.341 x1
110 O 0.850 0.857 0.174 x1
111 O 0.862 0.727 0.672 x1
112 O 0.868 0.735 0.389 x1
113 O 0.872 0.861 0.894 x1
114 O 0.963 0.156 0.554 x1
115 O 0.967 0.179 0.841 x1
116 O 0.971 0.535 0.060 x1
117 O 0.972 0.528 0.340 x1

Calculated values
magnetic moment	0.000	μB per formula unit

(2)
A plane-wave DFT calculation with PBE was carried out for crystalline Na2TiSiGeP2O12 at its relaxed geometry.

a b c (Å): 8.645 8.647 21.817
angles (deg): 89.93 89.75 60.18
Space group P1 (No. 1)
Symmetry-distinct sites (fractional):
1 Na 0.000 0.000 0.000 x1
2 Na 0.000 0.357 0.250 x1
3 Na 0.001 0.998 0.500 x1
4 Na 0.034 0.666 0.415 x1
5 Na 0.322 0.353 0.832 x1
6 Na 0.331 0.964 0.083 x1
7 Na 0.354 0.318 0.334 x1
8 Na 0.365 0.996 0.749 x1
9 Na 0.665 0.031 0.915 x1
10 Na 0.666 0.666 0.666 x1
11 Na 0.667 0.664 0.168 x1
12 Na 0.968 0.328 0.581 x1
13 Ti 0.003 0.996 0.852 x1
14 Ti 0.324 0.328 0.979 x1
15 Ti 0.669 0.656 0.022 x1
16 Ti 0.670 0.669 0.810 x1
17 Ti 0.992 0.995 0.147 x1
18 Ti 0.998 0.004 0.355 x1
19 Si 0.041 0.334 0.088 x1
20 Si 0.338 0.036 0.584 x1
21 Si 0.373 0.949 0.918 x1
22 Si 0.713 0.005 0.747 x1
23 Si 0.950 0.380 0.420 x1
24 Si 0.999 0.705 0.253 x1
25 Ge 0.003 0.989 0.644 x1
26 Ge 0.327 0.338 0.189 x1
27 Ge 0.329 0.324 0.481 x1
28 Ge 0.341 0.323 0.685 x1
29 Ge 0.659 0.666 0.521 x1
30 Ge 0.667 0.668 0.315 x1
31 P 0.050 0.617 0.583 x1
32 P 0.283 0.703 0.746 x1
33 P 0.299 0.990 0.250 x1
34 P 0.333 0.612 0.085 x1
35 P 0.387 0.658 0.418 x1
36 P 0.615 0.330 0.582 x1
37 P 0.616 0.050 0.084 x1
38 P 0.656 0.953 0.419 x1
39 P 0.666 0.379 0.915 x1
40 P 0.703 0.288 0.250 x1
41 P 0.955 0.662 0.916 x1
42 P 0.998 0.287 0.745 x1
43 O 0.025 0.797 0.314 x1
44 O 0.030 0.151 0.091 x1
45 O 0.033 0.802 0.588 x1
46 O 0.039 0.160 0.800 x1
47 O 0.129 0.362 0.150 x1
48 O 0.137 0.489 0.637 x1
49 O 0.141 0.498 0.922 x1
50 O 0.148 0.368 0.424 x1
51 O 0.151 0.023 0.590 x1
52 O 0.160 0.542 0.523 x1
53 O 0.166 0.800 0.090 x1
54 O 0.168 0.032 0.304 x1
55 O 0.168 0.305 0.742 x1
56 O 0.168 0.791 0.804 x1
57 O 0.173 0.296 0.028 x1
58 O 0.177 0.504 0.248 x1
59 O 0.177 0.972 0.910 x1
60 O 0.198 0.822 0.412 x1
61 O 0.207 0.830 0.691 x1
62 O 0.217 0.965 0.191 x1
63 O 0.281 0.177 0.527 x1
64 O 0.291 0.523 0.739 x1
65 O 0.310 0.524 0.028 x1
66 O 0.319 0.158 0.246 x1
67 O 0.363 0.144 0.921 x1
68 O 0.366 0.500 0.144 x1
69 O 0.368 0.489 0.423 x1
70 O 0.370 0.119 0.647 x1
71 O 0.464 0.696 0.476 x1
72 O 0.465 0.837 0.980 x1
73 O 0.470 0.683 0.754 x1
74 O 0.479 0.820 0.259 x1
75 O 0.491 0.139 0.140 x1
76 O 0.491 0.139 0.425 x1
77 O 0.496 0.639 0.081 x1
78 O 0.500 0.357 0.921 x1
79 O 0.500 0.366 0.640 x1
80 O 0.500 0.860 0.857 x1
81 O 0.503 0.627 0.360 x1
82 O 0.510 0.182 0.744 x1
83 O 0.516 0.840 0.577 x1
84 O 0.521 0.299 0.243 x1
85 O 0.528 0.299 0.525 x1
86 O 0.540 0.154 0.024 x1
87 O 0.620 0.876 0.360 x1
88 O 0.632 0.864 0.081 x1
89 O 0.640 0.496 0.578 x1
90 O 0.645 0.492 0.859 x1
91 O 0.685 0.475 0.258 x1
92 O 0.685 0.829 0.752 x1
93 O 0.693 0.465 0.973 x1
94 O 0.700 0.828 0.474 x1
95 O 0.793 0.172 0.307 x1
96 O 0.797 0.031 0.810 x1
97 O 0.801 0.032 0.091 x1
98 O 0.805 0.164 0.586 x1
99 O 0.821 0.680 0.257 x1
100 O 0.826 0.969 0.412 x1
101 O 0.828 0.207 0.195 x1
102 O 0.832 0.191 0.911 x1
103 O 0.832 0.467 0.482 x1
104 O 0.832 0.468 0.753 x1
105 O 0.836 0.692 0.973 x1
106 O 0.841 0.967 0.688 x1
107 O 0.848 0.510 0.080 x1
108 O 0.864 0.632 0.579 x1
109 O 0.867 0.508 0.359 x1
110 O 0.870 0.635 0.858 x1
111 O 0.967 0.833 0.911 x1
112 O 0.971 0.833 0.194 x1
113 O 0.972 0.204 0.686 x1
114 O 0.973 0.182 0.412 x1

Calculated values
magnetic moment	0.000	μB per formula unit

(3)
A plane-wave DFT calculation with PBE was carried out for crystalline Na5Y2SiGe2P5O24 at its relaxed geometry.

a b c (Å): 8.920 8.970 22.502
angles (deg): 89.70 89.81 60.29
Space group P1 (No. 1)
Symmetry-distinct sites (fractional):
1 Na 0.000 0.000 0.000 x1
2 Na 0.001 0.030 0.503 x1
3 Na 0.004 0.651 0.751 x1
4 Na 0.034 0.685 0.414 x1
5 Na 0.297 0.046 0.412 x1
6 Na 0.336 0.971 0.084 x1
7 Na 0.343 0.339 0.840 x1
8 Na 0.345 0.331 0.327 x1
9 Na 0.360 0.019 0.753 x1
10 Na 0.364 0.653 0.247 x1
11 Na 0.636 0.369 0.755 x1
12 Na 0.668 0.670 0.666 x1
13 Na 0.686 0.682 0.170 x1
14 Na 0.687 0.995 0.584 x1
15 Na 0.701 0.355 0.085 x1
16 Y 0.332 0.349 0.680 x1
17 Y 0.340 0.349 0.483 x1
18 Y 0.667 0.671 0.520 x1
19 Y 0.673 0.683 0.025 x1
20 Y 0.995 0.026 0.341 x1
21 Y 0.998 0.018 0.858 x1
22 Si 0.308 0.019 0.247 x1
23 Si 0.314 0.635 0.086 x1
24 Si 0.710 0.004 0.751 x1
25 Ge 0.002 0.009 0.651 x1
26 Ge 0.011 0.999 0.151 x1
27 Ge 0.331 0.359 0.981 x1
28 Ge 0.334 0.344 0.184 x1
29 Ge 0.667 0.687 0.310 x1
30 Ge 0.670 0.691 0.822 x1
31 P 0.001 0.710 0.247 x1
32 P 0.030 0.670 0.586 x1
33 P 0.063 0.334 0.086 x1
34 P 0.299 0.729 0.750 x1
35 P 0.317 0.043 0.586 x1
36 P 0.380 0.678 0.408 x1
37 P 0.384 0.989 0.920 x1
38 P 0.621 0.078 0.086 x1
39 P 0.648 0.403 0.919 x1
40 P 0.659 0.330 0.591 x1
41 P 0.666 0.968 0.412 x1
42 P 0.699 0.316 0.243 x1
43 P 0.955 0.397 0.409 x1
44 P 0.976 0.658 0.917 x1
45 P 0.988 0.312 0.749 x1
46 O 0.005 0.811 0.913 x1
47 O 0.024 0.846 0.590 x1
48 O 0.038 0.196 0.803 x1
49 O 0.044 0.776 0.304 x1
50 O 0.045 0.167 0.091 x1
51 O 0.108 0.566 0.642 x1
52 O 0.135 0.385 0.411 x1
53 O 0.135 0.582 0.529 x1
54 O 0.137 0.351 0.741 x1
55 O 0.143 0.834 0.093 x1
56 O 0.148 0.361 0.141 x1
57 O 0.149 0.036 0.594 x1
58 O 0.152 0.487 0.921 x1
59 O 0.164 0.533 0.237 x1
60 O 0.176 0.302 0.029 x1
61 O 0.186 0.804 0.804 x1
62 O 0.198 0.839 0.405 x1
63 O 0.205 0.013 0.914 x1
64 O 0.207 0.054 0.309 x1
65 O 0.207 0.971 0.193 x1
66 O 0.213 0.848 0.694 x1
67 O 0.291 0.545 0.026 x1
68 O 0.296 0.148 0.529 x1
69 O 0.326 0.547 0.743 x1
70 O 0.330 0.188 0.235 x1
71 O 0.349 0.126 0.640 x1
72 O 0.350 0.513 0.144 x1
73 O 0.359 0.519 0.411 x1
74 O 0.377 0.167 0.924 x1
75 O 0.460 0.705 0.463 x1
76 O 0.463 0.886 0.976 x1
77 O 0.478 0.391 0.921 x1
78 O 0.478 0.865 0.583 x1
79 O 0.480 0.717 0.756 x1
80 O 0.483 0.661 0.085 x1
81 O 0.489 0.660 0.350 x1
82 O 0.498 0.144 0.413 x1
83 O 0.498 0.834 0.253 x1
84 O 0.498 0.897 0.862 x1
85 O 0.503 0.161 0.140 x1
86 O 0.512 0.346 0.236 x1
87 O 0.513 0.160 0.745 x1
88 O 0.542 0.191 0.029 x1
89 O 0.558 0.352 0.648 x1
90 O 0.568 0.302 0.537 x1
91 O 0.629 0.517 0.860 x1
92 O 0.637 0.900 0.083 x1
93 O 0.643 0.869 0.358 x1
94 O 0.667 0.482 0.975 x1
95 O 0.681 0.499 0.249 x1
96 O 0.685 0.876 0.471 x1
97 O 0.687 0.482 0.586 x1
98 O 0.703 0.821 0.761 x1
99 O 0.764 0.212 0.299 x1
100 O 0.789 0.056 0.804 x1
101 O 0.803 0.062 0.093 x1
102 O 0.804 0.225 0.913 x1
103 O 0.817 0.488 0.756 x1
104 O 0.823 0.224 0.188 x1
105 O 0.830 0.980 0.406 x1
106 O 0.833 0.157 0.594 x1
107 O 0.836 0.694 0.254 x1
108 O 0.837 0.965 0.690 x1
109 O 0.844 0.705 0.583 x1
110 O 0.858 0.514 0.354 x1
111 O 0.861 0.476 0.467 x1
112 O 0.865 0.683 0.971 x1
113 O 0.879 0.487 0.084 x1
114 O 0.886 0.640 0.858 x1
115 O 0.960 0.221 0.694 x1
116 O 0.964 0.842 0.195 x1
117 O 0.983 0.214 0.408 x1

Calculated values
magnetic moment	0.000	μB per formula unit

Number 1: energy of formation -2.764 eV per atom. Number 2: energy of formation -2.761 eV per atom. Number 3: energy of formation -2.755 eV per atom.